Entry 1:
A plane-wave DFT calculation with GGA+U was carried out for crystalline Li2Fe3F8 at its relaxed geometry.

## Properties
The excess energy over the best structure of this formula in the dataset comes out at 3.43 eV/f.u. The calculation puts the total energy at -5.10 eV/atom. The total magnetization comes out at 16.0 μB per cell.

Geometry as CIF:
```
data_Li2Fe3F8
_space_group_name_H-M_alt 'P 1 21/c 1'
_space_group_IT_number 14
_space_group_name_Hall '-P 2ybc'
_cell_length_a 6.0529
_cell_length_b 10.2518
_cell_length_c 10.7268
_cell_angle_alpha 90.00
_cell_angle_beta 92.44
_cell_angle_gamma 90.00
loop_
_atom_site_label
_atom_site_type_symbol
_atom_site_fract_x
_atom_site_fract_y
_atom_site_fract_z
Li1 Li 0.1209 0.0529 0.2908
Li2 Li 0.3626 0.6429 0.3858
Fe1 Fe 0.1105 0.1373 0.9629
Fe2 Fe 0.3537 0.1428 0.7134
Fe3 Fe 0.3689 0.6285 0.0577
F1 F 0.1015 0.0119 0.1163
F2 F 0.1271 0.2398 0.3059
F3 F 0.1512 0.0070 0.6338
F4 F 0.1519 0.7398 0.4747
F5 F 0.3630 0.0371 0.8796
F6 F 0.3896 0.2478 0.5426
F7 F 0.3899 0.5219 0.8860
F8 F 0.4152 0.7207 0.2241
```


Entry 2:
A plane-wave DFT calculation with GGA+U was carried out for crystalline Fe3OF5 at its relaxed geometry.

## Properties
The excess energy over the best structure of this formula in the dataset comes out at 0.18 eV/f.u. The calculation puts the total energy at -5.72 eV/atom. The total magnetization comes out at 26.0 μB per cell.

Geometry as CIF:
```
data_Fe3OF5
_space_group_name_H-M_alt 'P 1'
_space_group_IT_number 1
_space_group_name_Hall 'P 1'
_cell_length_a 5.7889
_cell_length_b 5.8287
_cell_length_c 7.5062
_cell_angle_alpha 73.01
_cell_angle_beta 72.58
_cell_angle_gamma 71.33
loop_
_atom_site_label
_atom_site_type_symbol
_atom_site_fract_x
_atom_site_fract_y
_atom_site_fract_z
Fe1 Fe 0.0000 0.0000 0.0000
Fe2 Fe 0.0005 0.0241 0.5203
Fe3 Fe 0.3122 0.3233 0.6786
Fe4 Fe 0.3131 0.3253 0.1971
Fe5 Fe 0.6586 0.6629 0.8461
Fe6 Fe 0.6827 0.6406 0.3565
O1 O 0.0845 0.0827 0.7319
O2 O 0.9692 0.3398 0.3588
F1 F 0.0238 0.6478 0.6671
F2 F 0.2209 0.2106 0.9881
F3 F 0.2900 0.6998 0.0233
F4 F 0.3642 0.9382 0.3629
F5 F 0.4343 0.4291 0.3871
F6 F 0.5470 0.5545 0.6620
F7 F 0.6392 0.0291 0.6686
F8 F 0.6917 0.2922 0.0260
F9 F 0.7709 0.7785 0.0387
F10 F 0.9103 0.9049 0.2989
```


Entry 3:
A plane-wave DFT calculation with GGA+U was carried out for crystalline Na4CaFe4P6O24 at its relaxed geometry.

## Properties
The excess energy over the best structure of this formula in the dataset comes out at 0.00 eV/f.u. The calculation puts the total energy at -6.81 eV/atom. The total magnetization comes out at 0.0 μB per cell.

Geometry as CIF:
```
data_Na4CaFe4P6O24
_space_group_name_H-M_alt 'C 1 2 1'
_space_group_IT_number 5
_space_group_name_Hall 'C 2y'
_cell_length_a 12.3305
_cell_length_b 12.6564
_cell_length_c 6.4903
_cell_angle_alpha 90.00
_cell_angle_beta 113.84
_cell_angle_gamma 90.00
loop_
_atom_site_label
_atom_site_type_symbol
_atom_site_fract_x
_atom_site_fract_y
_atom_site_fract_z
Na1 Na 0.0000 0.0000 0.0000
Na2 Na 0.0000 0.2734 0.0000
Na3 Na 0.0002 0.7705 0.2472
Ca1 Ca 0.0000 0.5301 0.5000
Fe1 Fe 0.2202 0.1118 0.8848
Fe2 Fe 0.2280 0.4232 0.3920
P1 P 0.0000 0.5435 0.0000
P2 P 0.0000 0.9927 0.5000
P3 P 0.2457 0.1641 0.3832
P4 P 0.2467 0.3699 0.8846
O1 O 0.0531 0.0621 0.7141
O2 O 0.0529 0.4705 0.2116
O3 O 0.0954 0.6157 0.9737
O4 O 0.0957 0.9176 0.4790
O5 O 0.1225 0.6785 0.5638
O6 O 0.1246 0.8533 0.0697
O7 O 0.1788 0.1065 0.1550
O8 O 0.1796 0.4298 0.6555
O9 O 0.1808 0.2637 0.8747
O10 O 0.1831 0.2723 0.3675
O11 O 0.2333 0.4410 0.0747
O12 O 0.2349 0.0937 0.5758
```